No. 1
## EuMg16Al12 (PBE)

Data for an optimized crystal structure of EuMg16Al12.

Cell: 9.1942 9.1942 9.1942 Å, 109.47 109.47 109.47°
Last column: nearest neighbours and their distance in Å.
Element x y z (fractional)
1 Eu 0.0000 0.0000 0.0000  12 Al 3.24, 4 Mg 3.29
2 Mg 0.0000 0.0000 0.3581  3 Mg 3.05, 6 Al 3.18, 1 Eu 3.29
3 Mg 0.0000 0.3197 0.6027  5 Al 2.88-3.18, 7 Mg 3.05-3.19
4 Mg 0.0000 0.3581 0.0000  3 Mg 3.05, 6 Al 3.18, 1 Eu 3.29
5 Mg 0.0000 0.6027 0.3197  5 Al 2.88-3.18, 7 Mg 3.05-3.19
6 Mg 0.2829 0.6803 0.6803  5 Al 2.88-3.18, 7 Mg 3.05-3.19
7 Mg 0.3197 0.0000 0.6027  5 Al 2.88-3.18, 7 Mg 3.05-3.19
8 Mg 0.3197 0.6027 0.0000  5 Al 2.88-3.18, 7 Mg 3.05-3.19
9 Mg 0.3581 0.0000 0.0000  3 Mg 3.05, 6 Al 3.18, 1 Eu 3.29
10 Mg 0.3973 0.3973 0.7171  5 Al 2.88-3.18, 7 Mg 3.05-3.19
11 Mg 0.3973 0.7171 0.3973  5 Al 2.88-3.18, 7 Mg 3.05-3.19
12 Mg 0.6027 0.0000 0.3197  5 Al 2.88-3.18, 7 Mg 3.05-3.19
13 Mg 0.6027 0.3197 0.0000  5 Al 2.88-3.18, 7 Mg 3.05-3.19
14 Mg 0.6419 0.6419 0.6419  3 Mg 3.05, 6 Al 3.18, 1 Eu 3.29
15 Mg 0.6803 0.2829 0.6803  5 Al 2.88-3.18, 7 Mg 3.05-3.19
16 Mg 0.6803 0.6803 0.2829  5 Al 2.88-3.18, 7 Mg 3.05-3.19
17 Mg 0.7171 0.3973 0.3973  5 Al 2.88-3.18, 7 Mg 3.05-3.19
18 Al 0.0000 0.6326 0.8122  3 Al 2.70-2.82, 1 Mg 2.88
19 Al 0.0000 0.8122 0.6326  3 Al 2.70-2.82, 1 Mg 2.88
20 Al 0.1797 0.3674 0.3674  3 Al 2.70-2.82, 1 Mg 2.88
21 Al 0.1878 0.1878 0.8203  3 Al 2.70-2.82, 1 Mg 2.88
22 Al 0.1878 0.8203 0.1878  3 Al 2.70-2.82, 1 Mg 2.88
23 Al 0.3674 0.1797 0.3674  3 Al 2.70-2.82, 1 Mg 2.88
24 Al 0.3674 0.3674 0.1797  3 Al 2.70-2.82, 1 Mg 2.88
25 Al 0.6326 0.0000 0.8122  3 Al 2.70-2.82, 1 Mg 2.88
26 Al 0.6326 0.8122 0.0000  3 Al 2.70-2.82, 1 Mg 2.88
27 Al 0.8122 0.0000 0.6326  3 Al 2.70-2.82, 1 Mg 2.88
28 Al 0.8122 0.6326 0.0000  3 Al 2.70-2.82, 1 Mg 2.88
29 Al 0.8203 0.1878 0.1878  3 Al 2.70-2.82, 1 Mg 2.88

Values from the calculation:
space group: I-43m, No. 217
VASP energy: -82.58 eV/cell

No. 2
## EuMgAl11O19 (PBE)

Data for an optimized crystal structure of EuMgAl11O19.

Cell: 5.6729 5.6729 22.4638 Å, 90.03 90.03 60.01°
Last column: nearest neighbours and their distance in Å.
Element x y z (fractional)
1 Eu 0.1673 0.1673 0.2394  3 O 2.51
2 Eu 0.8327 0.8327 0.7606  3 O 2.51
3 Mg 0.1670 0.1670 0.9748  4 O 1.95-1.98
4 Mg 0.8330 0.8330 0.0252  4 O 1.95-1.98
5 Al 0.1648 0.6669 0.6093  6 O 1.87-1.98
6 Al 0.1660 0.1660 0.5749  3 O 1.83
7 Al 0.1666 0.1666 0.6970  6 O 1.89-1.93
8 Al 0.1667 0.1667 0.8128  6 O 1.87-2.03
9 Al 0.1679 0.6665 0.8931  6 O 1.91-1.96
10 Al 0.3330 0.3330 0.3906  6 O 1.87-1.98
11 Al 0.3331 0.8352 0.3907  6 O 1.87-1.98
12 Al 0.3337 0.3337 0.1068  6 O 1.91-1.96
13 Al 0.3335 0.8321 0.1069  6 O 1.91-1.96
14 Al 0.5000 0.5000 0.0000  6 O 1.92
15 Al 0.5000 0.5000 0.2450  3 O 1.79
16 Al 0.5000 0.5000 0.5000  6 O 1.95-1.96
17 Al 0.5000 0.5000 0.7550  3 O 1.79
18 Al 0.6665 0.1679 0.8931  6 O 1.91-1.96
19 Al 0.6663 0.6663 0.8932  6 O 1.91-1.96
20 Al 0.6669 0.1648 0.6093  6 O 1.87-1.98
21 Al 0.6670 0.6670 0.6094  6 O 1.87-1.98
22 Al 0.8321 0.3335 0.1069  6 O 1.91-1.96
23 Al 0.8333 0.8333 0.1872  6 O 1.87-2.03
24 Al 0.8334 0.8334 0.3030  6 O 1.89-1.93
25 Al 0.8340 0.8340 0.4251  3 O 1.83
26 Al 0.8352 0.3331 0.3907  6 O 1.87-1.98
27 O 0.0062 0.0062 0.1528  3 Al 1.87-1.91
28 O 0.0059 0.4878 0.1526  3 Al 1.87-1.91
29 O 0.0091 0.4812 0.6489  3 Al 1.89-1.90
30 O 0.0098 0.0098 0.6485  3 Al 1.89-1.90
31 O 0.1358 0.6818 0.2486  2 Al 1.79-1.92
32 O 0.1663 0.1663 0.0628  3 Al 1.92, 1 Mg 1.98
33 O 0.1671 0.1671 0.4314  3 Al 1.87
34 O 0.1959 0.6525 0.4439  4 Al 1.83-1.98
35 O 0.2037 0.6478 0.0560  3 Al 1.92-1.93, 1 Mg 1.95
36 O 0.3179 0.3179 0.7515  2 Al 1.79-1.93
37 O 0.3182 0.8642 0.7514  2 Al 1.79-1.92
38 O 0.3471 0.3471 0.5561  4 Al 1.83-1.98
39 O 0.3475 0.8041 0.5561  4 Al 1.83-1.98
40 O 0.3522 0.3522 0.9439  3 Al 1.92-1.93, 1 Mg 1.95
41 O 0.3522 0.7963 0.9440  3 Al 1.92-1.93, 1 Mg 1.95
42 O 0.4812 0.0091 0.6489  3 Al 1.89-1.90
43 O 0.4878 0.0059 0.1526  3 Al 1.87-1.91
44 O 0.4997 0.4997 0.1548  4 Al 1.96-2.03
45 O 0.5004 0.5004 0.3465  3 Al 1.92
46 O 0.4996 0.4996 0.6535  3 Al 1.92
47 O 0.5003 0.5003 0.8452  4 Al 1.96-2.03
48 O 0.5122 0.9941 0.8474  3 Al 1.87-1.91
49 O 0.5188 0.9909 0.3511  3 Al 1.89-1.90
50 O 0.6478 0.2037 0.0560  3 Al 1.92-1.93, 1 Mg 1.95
51 O 0.6478 0.6478 0.0561  3 Al 1.92-1.93, 1 Mg 1.95
52 O 0.6525 0.1959 0.4439  4 Al 1.83-1.98
53 O 0.6529 0.6529 0.4439  4 Al 1.83-1.98
54 O 0.6818 0.1358 0.2486  2 Al 1.79-1.92
55 O 0.6821 0.6821 0.2485  2 Al 1.79-1.93
56 O 0.7963 0.3522 0.9440  3 Al 1.92-1.93, 1 Mg 1.95
57 O 0.8041 0.3475 0.5561  4 Al 1.83-1.98
58 O 0.8329 0.8329 0.5686  3 Al 1.87
59 O 0.8337 0.8337 0.9372  3 Al 1.92, 1 Mg 1.98
60 O 0.8642 0.3182 0.7514  2 Al 1.79-1.92
61 O 0.9902 0.9902 0.3515  3 Al 1.89-1.90
62 O 0.9909 0.5188 0.3511  3 Al 1.89-1.90
63 O 0.9941 0.5122 0.8474  3 Al 1.87-1.91
64 O 0.9938 0.9938 0.8472  3 Al 1.87-1.91

Values from the calculation:
space group: C2/m, No. 12
VASP energy: -482.39 eV/cell

No. 3
## Eu2Mn5Al12 (PBE)

Data for an optimized crystal structure of Eu2Mn5Al12.

Cell: 6.8331 6.8331 6.8331 Å, 83.49 83.49 83.49°
Last column: nearest neighbours and their distance in Å.
Element x y z (fractional)
1 Eu 0.1571 0.1571 0.1571  12 Al 3.18-3.39, 4 Mn 3.22-3.50
2 Eu 0.8429 0.8429 0.8429  12 Al 3.18-3.39, 4 Mn 3.22-3.50
3 Mn 0.0000 0.5000 0.5000  8 Al 2.53-2.57, 2 Mn 2.78
4 Mn 0.4024 0.4024 0.4024  4 Mn 2.56-2.78, 3 Al 2.65
5 Mn 0.5000 0.0000 0.5000  8 Al 2.53-2.57, 2 Mn 2.78
6 Mn 0.5000 0.5000 0.0000  8 Al 2.53-2.57, 2 Mn 2.78
7 Mn 0.5976 0.5976 0.5976  4 Mn 2.56-2.78, 3 Al 2.65
8 Al 0.1642 0.1642 0.6210  3 Mn 2.53-2.65, 4 Al 2.73-2.80
9 Al 0.1642 0.6210 0.1642  3 Mn 2.53-2.65, 4 Al 2.73-2.80
10 Al 0.2176 0.5000 0.7824  4 Mn 2.57-2.87, 6 Al 2.57-2.80
11 Al 0.2176 0.7824 0.5000  4 Mn 2.57-2.87, 6 Al 2.57-2.80
12 Al 0.3790 0.8358 0.8358  3 Mn 2.53-2.65, 4 Al 2.73-2.80
13 Al 0.5000 0.2176 0.7824  4 Mn 2.57-2.87, 6 Al 2.57-2.80
14 Al 0.5000 0.7824 0.2176  4 Mn 2.57-2.87, 6 Al 2.57-2.80
15 Al 0.6210 0.1642 0.1642  3 Mn 2.53-2.65, 4 Al 2.73-2.80
16 Al 0.7824 0.2176 0.5000  4 Mn 2.57-2.87, 6 Al 2.57-2.80
17 Al 0.7824 0.5000 0.2176  4 Mn 2.57-2.87, 6 Al 2.57-2.80
18 Al 0.8358 0.3790 0.8358  3 Mn 2.53-2.65, 4 Al 2.73-2.80
19 Al 0.8358 0.8358 0.3790  3 Mn 2.53-2.65, 4 Al 2.73-2.80

Values from the calculation:
space group: R-3m, No. 166
VASP energy: -116.24 eV/cell

No. 4
## Eu2Al4O9 (PBE)

Data for an optimized crystal structure of Eu2Al4O9.

Cell: 7.5318 8.4392 5.7523 Å, 90.00 90.00 90.00°
Last column: nearest neighbours and their distance in Å.
Element x y z (fractional)
1 Eu 0.1567 0.1842 0.0000  4 O 2.25-2.41
2 Eu 0.3434 0.6842 0.0000  4 O 2.25-2.41
3 Eu 0.6566 0.3158 0.0000  4 O 2.25-2.41
4 Eu 0.8434 0.8158 0.0000  4 O 2.25-2.41
5 Al 0.0000 0.5000 0.2566  6 O 1.90-1.98
6 Al 0.0000 0.5000 0.7434  6 O 1.90-1.98
7 Al 0.1383 0.8357 0.5000  4 O 1.73-1.78
8 Al 0.3617 0.3357 0.5000  4 O 1.73-1.78
9 Al 0.5000 0.0000 0.2566  6 O 1.90-1.98
10 Al 0.5000 0.0000 0.7434  6 O 1.90-1.98
11 Al 0.6383 0.6643 0.5000  4 O 1.73-1.78
12 Al 0.8617 0.1643 0.5000  4 O 1.73-1.78
13 O 0.0000 0.0000 0.5000  2 Al 1.73
14 O 0.0997 0.7170 0.2485  2 Al 1.78-1.98
15 O 0.0997 0.7170 0.7515  2 Al 1.78-1.98
16 O 0.1487 0.4269 0.5000  3 Al 1.78-1.90
17 O 0.1585 0.4512 0.0000  2 Al 1.94
18 O 0.3415 0.9512 0.0000  2 Al 1.94
19 O 0.3513 0.9269 0.5000  3 Al 1.78-1.90
20 O 0.4003 0.2170 0.2485  2 Al 1.78-1.98
21 O 0.4003 0.2170 0.7515  2 Al 1.78-1.98
22 O 0.5000 0.5000 0.5000  2 Al 1.73
23 O 0.5997 0.7830 0.2485  2 Al 1.78-1.98
24 O 0.5997 0.7830 0.7515  2 Al 1.78-1.98
25 O 0.6487 0.0731 0.5000  3 Al 1.78-1.90
26 O 0.6585 0.0488 0.0000  2 Al 1.94
27 O 0.8415 0.5488 0.0000  2 Al 1.94
28 O 0.8513 0.5731 0.5000  3 Al 1.78-1.90
29 O 0.9003 0.2830 0.2485  2 Al 1.78-1.98
30 O 0.9003 0.2830 0.7515  2 Al 1.78-1.98

Values from the calculation:
space group: Pbam, No. 55
VASP energy: -246.24 eV/cell

No. 5
## Eu3Al2O7 (PBE)

Data for an optimized crystal structure of Eu3Al2O7.

Cell: 10.2558 10.2558 10.2558 Å, 158.90 158.90 30.01°
Last column: nearest neighbours and their distance in Å.
Element x y z (fractional)
1 Eu 0.0000 0.0000 0.0000  12 O 2.66-2.69
2 Eu 0.1824 0.1824 0.0000  5 O 2.37-2.52
3 Eu 0.8176 0.8176 0.0000  5 O 2.37-2.52
4 Al 0.4044 0.4044 0.0000  6 O 1.88-2.03
5 Al 0.5956 0.5956 0.0000  6 O 1.88-2.03
6 O 0.0972 0.5972 0.5000  2 Al 1.88
7 O 0.3019 0.3019 0.0000  1 Al 2.03
8 O 0.4028 0.9028 0.5000  2 Al 1.88
9 O 0.5000 0.5000 0.0000  2 Al 1.89
10 O 0.5972 0.0972 0.5000  2 Al 1.88
11 O 0.6981 0.6981 0.0000  1 Al 2.03
12 O 0.9028 0.4028 0.5000  2 Al 1.88

Values from the calculation:
space group: I4/mmm, No. 139
VASP energy: -108.79 eV/cell

No. 6
## Eu4Al2O9 (PBE)

Data for an optimized crystal structure of Eu4Al2O9.

Cell: 7.7230 10.8691 11.3432 Å, 90.00 109.08 90.00°
Last column: nearest neighbours and their distance in Å.
Element x y z (fractional)
1 Eu 0.0246 0.0898 0.3057  6 O 2.29-2.45
2 Eu 0.0246 0.4102 0.8057  6 O 2.29-2.45
3 Eu 0.1615 0.6255 0.5816  6 O 2.33-2.45
4 Eu 0.1615 0.8745 0.0816  6 O 2.33-2.45
5 Eu 0.3347 0.1273 0.9314  5 O 2.34-2.47
6 Eu 0.3347 0.3727 0.4314  5 O 2.34-2.47
7 Eu 0.4749 0.6017 0.2117  6 O 2.33-2.58
8 Eu 0.4749 0.8983 0.7117  6 O 2.33-2.58
9 Eu 0.5251 0.1017 0.2883  6 O 2.33-2.58
10 Eu 0.5251 0.3983 0.7883  6 O 2.33-2.58
11 Eu 0.6653 0.6273 0.5686  5 O 2.34-2.47
12 Eu 0.6653 0.8727 0.0686  5 O 2.34-2.47
13 Eu 0.8385 0.1255 0.9184  6 O 2.33-2.45
14 Eu 0.8385 0.3745 0.4184  6 O 2.33-2.45
15 Eu 0.9754 0.5898 0.1943  6 O 2.29-2.45
16 Eu 0.9754 0.9102 0.6943  6 O 2.29-2.45
17 Al 0.2231 0.1864 0.6299  4 O 1.75-1.78
18 Al 0.2231 0.3136 0.1299  4 O 1.75-1.78
19 Al 0.3492 0.6849 0.8814  4 O 1.76-1.78
20 Al 0.3492 0.8151 0.3814  4 O 1.76-1.78
21 Al 0.6508 0.1849 0.6186  4 O 1.76-1.78
22 Al 0.6508 0.3151 0.1186  4 O 1.76-1.78
23 Al 0.7769 0.6864 0.8701  4 O 1.75-1.78
24 Al 0.7769 0.8136 0.3701  4 O 1.75-1.78
25 O 0.0738 0.5027 0.3964  4 Eu 2.36-2.39
26 O 0.0738 0.9973 0.8964  4 Eu 2.36-2.39
27 O 0.0779 0.2328 0.4812  1 Al 1.77
28 O 0.0779 0.2672 0.9812  1 Al 1.77
29 O 0.2159 0.7256 0.2523  1 Al 1.78
30 O 0.2159 0.7744 0.7523  1 Al 1.78
31 O 0.2168 0.0308 0.6673  1 Al 1.75
32 O 0.2168 0.4692 0.1673  1 Al 1.75
33 O 0.2304 0.2293 0.2664  1 Al 1.78
34 O 0.2304 0.2707 0.7664  1 Al 1.78
35 O 0.2995 0.5317 0.8303  1 Al 1.76
36 O 0.2995 0.9683 0.3303  1 Al 1.76
37 O 0.3613 0.7294 0.0341  1 Al 1.77
38 O 0.3613 0.7706 0.5341  1 Al 1.77
39 O 0.4290 0.5071 0.6013  4 Eu 2.33-2.38
40 O 0.4290 0.9929 0.1013  4 Eu 2.33-2.38
41 O 0.4338 0.2385 0.6176  2 Al 1.77
42 O 0.4338 0.2615 0.1176  2 Al 1.77
43 O 0.5662 0.7385 0.8824  2 Al 1.77
44 O 0.5662 0.7615 0.3824  2 Al 1.77
45 O 0.5710 0.0071 0.8987  4 Eu 2.33-2.38
46 O 0.5710 0.4929 0.3987  4 Eu 2.33-2.38
47 O 0.6387 0.2294 0.4659  1 Al 1.77
48 O 0.6387 0.2706 0.9659  1 Al 1.77
49 O 0.7005 0.0317 0.6697  1 Al 1.76
50 O 0.7005 0.4683 0.1697  1 Al 1.76
51 O 0.7696 0.7293 0.2336  1 Al 1.78
52 O 0.7696 0.7707 0.7336  1 Al 1.78
53 O 0.7832 0.5308 0.8327  1 Al 1.75
54 O 0.7832 0.9692 0.3327  1 Al 1.75
55 O 0.7841 0.2256 0.2477  1 Al 1.78
56 O 0.7841 0.2744 0.7477  1 Al 1.78
57 O 0.9221 0.7328 0.0188  1 Al 1.77
58 O 0.9221 0.7672 0.5188  1 Al 1.77
59 O 0.9262 0.0027 0.1036  4 Eu 2.36-2.39
60 O 0.9262 0.4973 0.6036  4 Eu 2.36-2.39

Values from the calculation:
space group: P2_1/c, No. 14
VASP energy: -543.75 eV/cell

- VASP energy of number 4 (Eu2Al4O9)?
  -246.24 eV/cell

- Look up the VASP energy of the sixth one.
  -543.75 eV/cell

Copy entry 1 word for word.
## EuMg16Al12 (PBE)

Data for an optimized crystal structure of EuMg16Al12.

Cell: 9.1942 9.1942 9.1942 Å, 109.47 109.47 109.47°
Last column: nearest neighbours and their distance in Å.
Element x y z (fractional)
1 Eu 0.0000 0.0000 0.0000  12 Al 3.24, 4 Mg 3.29
2 Mg 0.0000 0.0000 0.3581  3 Mg 3.05, 6 Al 3.18, 1 Eu 3.29
3 Mg 0.0000 0.3197 0.6027  5 Al 2.88-3.18, 7 Mg 3.05-3.19
4 Mg 0.0000 0.3581 0.0000  3 Mg 3.05, 6 Al 3.18, 1 Eu 3.29
5 Mg 0.0000 0.6027 0.3197  5 Al 2.88-3.18, 7 Mg 3.05-3.19
6 Mg 0.2829 0.6803 0.6803  5 Al 2.88-3.18, 7 Mg 3.05-3.19
7 Mg 0.3197 0.0000 0.6027  5 Al 2.88-3.18, 7 Mg 3.05-3.19
8 Mg 0.3197 0.6027 0.0000  5 Al 2.88-3.18, 7 Mg 3.05-3.19
9 Mg 0.3581 0.0000 0.0000  3 Mg 3.05, 6 Al 3.18, 1 Eu 3.29
10 Mg 0.3973 0.3973 0.7171  5 Al 2.88-3.18, 7 Mg 3.05-3.19
11 Mg 0.3973 0.7171 0.3973  5 Al 2.88-3.18, 7 Mg 3.05-3.19
12 Mg 0.6027 0.0000 0.3197  5 Al 2.88-3.18, 7 Mg 3.05-3.19
13 Mg 0.6027 0.3197 0.0000  5 Al 2.88-3.18, 7 Mg 3.05-3.19
14 Mg 0.6419 0.6419 0.6419  3 Mg 3.05, 6 Al 3.18, 1 Eu 3.29
15 Mg 0.6803 0.2829 0.6803  5 Al 2.88-3.18, 7 Mg 3.05-3.19
16 Mg 0.6803 0.6803 0.2829  5 Al 2.88-3.18, 7 Mg 3.05-3.19
17 Mg 0.7171 0.3973 0.3973  5 Al 2.88-3.18, 7 Mg 3.05-3.19
18 Al 0.0000 0.6326 0.8122  3 Al 2.70-2.82, 1 Mg 2.88
19 Al 0.0000 0.8122 0.6326  3 Al 2.70-2.82, 1 Mg 2.88
20 Al 0.1797 0.3674 0.3674  3 Al 2.70-2.82, 1 Mg 2.88
21 Al 0.1878 0.1878 0.8203  3 Al 2.70-2.82, 1 Mg 2.88
22 Al 0.1878 0.8203 0.1878  3 Al 2.70-2.82, 1 Mg 2.88
23 Al 0.3674 0.1797 0.3674  3 Al 2.70-2.82, 1 Mg 2.88
24 Al 0.3674 0.3674 0.1797  3 Al 2.70-2.82, 1 Mg 2.88
25 Al 0.6326 0.0000 0.8122  3 Al 2.70-2.82, 1 Mg 2.88
26 Al 0.6326 0.8122 0.0000  3 Al 2.70-2.82, 1 Mg 2.88
27 Al 0.8122 0.0000 0.6326  3 Al 2.70-2.82, 1 Mg 2.88
28 Al 0.8122 0.6326 0.0000  3 Al 2.70-2.82, 1 Mg 2.88
29 Al 0.8203 0.1878 0.1878  3 Al 2.70-2.82, 1 Mg 2.88

Values from the calculation:
space group: I-43m, No. 217
VASP energy: -82.58 eV/cell

- VASP energy of number 6 (Eu4Al2O9)?
  -543.75 eV/cell